1.
A relaxed MgTiW2O8 crystal. Source: the Materials Project database, functional GGA+U.

Results
Raw total energy = -7.581 eV/atom
Corrected total energy (MP2020 scheme) = -8.778 eV per atom

Lattice parameters (Å, degrees): 5.0896 5.2962 6.3183 72.64 87.18 77.23
Space group P1 (No. 1)
Asymmetric unit:
1 Mg 0.0000 0.0000 0.0000 x1
2 Ti 0.6865 0.8712 0.5371 x1
3 W 0.4262 0.3800 0.6953 x1
4 W 0.9740 0.3837 0.3693 x1
5 O 0.0377 0.6065 0.1064 x1
6 O 0.0570 0.5989 0.5754 x1
7 O 0.3241 0.1549 0.9446 x1
8 O 0.3481 0.1634 0.4850 x1
9 O 0.5487 0.6629 0.7874 x1
10 O 0.5971 0.6139 0.3992 x1
11 O 0.8146 0.1333 0.6921 x1
12 O 0.8572 0.0940 0.2748 x1


2.
A relaxed MgTiW2O8 crystal. Source: the Materials Project database, functional GGA+U.

Results
Raw total energy = -7.576 eV/atom
Corrected total energy (MP2020 scheme) = -8.774 eV per atom

Lattice parameters (Å, degrees): 5.0030 5.3606 6.8154 69.46 88.61 76.17
Space group P1 (No. 1)
Asymmetric unit:
1 Mg 0.0000 0.0000 0.0000 x1
2 Ti 0.5131 0.0251 0.6311 x1
3 W 0.2691 0.4996 0.8157 x1
4 W 0.7861 0.5397 0.4938 x1
5 O 0.1633 0.3031 0.6213 x1
6 O 0.1815 0.2619 0.0539 x1
7 O 0.3366 0.7999 0.8951 x1
8 O 0.4079 0.7623 0.5265 x1
9 O 0.6424 0.2669 0.4155 x1
10 O 0.6592 0.2498 0.8004 x1
11 O 0.8707 0.7426 0.2409 x1
12 O 0.8770 0.7335 0.6959 x1


3.
A relaxed Mg2V3O8 crystal. Source: the Materials Project database, functional GGA+U.

Results
Raw total energy = -7.249 eV/atom
Corrected total energy (MP2020 scheme) = -8.064 eV per atom

Lattice parameters (Å, degrees): 5.9158 5.9158 9.5056 90.00 90.00 120.00
Space group P31c (No. 159)
Asymmetric unit:
1 Mg 0.3333 0.6667 0.0000 x2
2 Mg 0.3333 0.6667 0.3993 x2
3 V 0.1623 0.3261 0.7222 x6
4 O 0.0000 0.0000 0.3309 x2
5 O 0.0372 0.5316 0.8428 x6
6 O 0.1485 0.3266 0.1234 x6
7 O 0.3333 0.6667 0.6095 x2


Number 1: relative energy among the computed polymorphs 0 meV/atom, formation enthalpy at 0 K -2529 meV per atom. Number 2: relative energy among the computed polymorphs 5 meV/atom, formation enthalpy at 0 K -2524 meV per atom. Number 3: relative energy among the computed polymorphs 0 meV/atom, formation enthalpy at 0 K -2676 meV per atom.